Density functional theory data (PBE) for an optimized crystal structure of KAlSiO4.

Cell and atoms, written as POSCAR:
```
KAlSiO4
1.0
8.6856 0.0000 0.0000
0.0000 9.1757 0.0000
-0.0586 0.0000 15.9081
K Al Si O
12 12 12 48
direct
0.2456 0.0000 0.0615
0.2477 0.0130 0.3955
0.2480 0.4696 0.2937
0.2522 0.5036 0.5484
0.2531 0.0305 0.7920
0.2537 0.4832 0.8919
0.7463 0.9832 0.1081
0.7469 0.5305 0.2080
0.7478 0.0036 0.4516
0.7523 0.5130 0.6045
0.7520 0.9696 0.7063
0.7544 0.5000 0.9385
0.0614 0.6649 0.0552
0.0654 0.6572 0.7254
0.0671 0.1744 0.6004
0.4332 0.8235 0.2313
0.4351 0.3344 0.1127
0.4373 0.8425 0.5633
0.5627 0.3425 0.4367
0.5649 0.8344 0.8873
0.5668 0.3235 0.7687
0.9329 0.6744 0.3996
0.9346 0.1572 0.2746
0.9386 0.1649 0.9448
0.0534 0.3335 0.1129
0.0562 0.8424 0.5639
0.0565 0.8229 0.2306
0.4436 0.1751 0.5996
0.4452 0.6558 0.7255
0.4475 0.6672 0.0555
0.5525 0.1672 0.9445
0.5548 0.1558 0.2745
0.5564 0.6751 0.4004
0.9435 0.3229 0.7694
0.9438 0.3424 0.4361
0.9466 0.8335 0.8871
0.0033 0.7924 0.1323
0.0123 0.9911 0.9209
0.0126 0.2163 0.3727
0.0191 0.8059 0.4651
0.0221 0.5022 0.4155
0.0234 0.2070 0.0423
0.0338 0.9966 0.2489
0.0390 0.7962 0.8000
0.0462 0.2200 0.7071
0.2374 0.3435 0.1340
0.2378 0.7791 0.2437
0.2403 0.8499 0.5784
0.2615 0.6681 0.0394
0.2621 0.1756 0.5727
0.2624 0.6108 0.7200
0.4566 0.0113 0.2472
0.4630 0.2103 0.7000
0.4664 0.2055 0.0331
0.4688 0.7882 0.7934
0.4708 0.8004 0.4569
0.4766 0.5146 0.4188
0.4900 0.0058 0.9162
0.4897 0.2089 0.3671
0.4956 0.7889 0.1270
0.5044 0.2889 0.8730
0.5100 0.5058 0.0838
0.5103 0.7089 0.6329
0.5234 0.0146 0.5812
0.5292 0.3004 0.5431
0.5312 0.2882 0.2066
0.5336 0.7055 0.9669
0.5370 0.7103 0.3000
0.5434 0.5113 0.7528
0.7376 0.1108 0.2800
0.7379 0.6756 0.4273
0.7385 0.1681 0.9606
0.7597 0.3499 0.4216
0.7622 0.2791 0.7563
0.7626 0.8435 0.8660
0.9538 0.7200 0.2929
0.9610 0.2962 0.2000
0.9662 0.4966 0.7511
0.9766 0.7070 0.9577
0.9779 0.0022 0.5845
0.9809 0.3059 0.5349
0.9874 0.7163 0.6273
0.9877 0.4911 0.0791
0.9967 0.2924 0.8677
```

Summary:
**Calculated volume**: 15.09 Å³ per atom
**Energy above the most stable polymorph in this dataset**: 1.3 meV per atom
**DFT total energy**: -595.67 eV per cell
**Symmetry**: P2_1 (4)
**Energy relative to the elements**: -73.5 kcal/mol of atoms
**Crystal system**: monoclinic